Entry 1:
# PrGa (PBE, relaxed)
data_PrGa
_chemical_formula_sum 'Pr2 Ga2'
_cell_length_a 6.1523
_cell_length_b 6.1523
_cell_length_c 4.2053
_cell_angle_alpha 90.00
_cell_angle_beta 90.00
_cell_angle_gamma 137.03
_space_group_name_H-M_alt 'P 1'
_space_group_IT_number 1
_space_group_name_Hall 'P 1'
loop_
_atom_site_label
_atom_site_fract_x
_atom_site_fract_y
_atom_site_fract_z
_atom_site_occupancy
Pr1 0.8590 0.1410 0.7500 1
Pr2 0.1410 0.8590 0.2500 1
Ga1 0.5696 0.4304 0.7500 1
Ga2 0.4304 0.5696 0.2500 1
# E_tot, eV/atom: -4.484
# Symmetry: Cmcm, No. 63


Entry 2:
# Pr9Ga4 (PBE, relaxed)
data_Pr9Ga4
_chemical_formula_sum 'Pr9 Ga4'
_cell_length_a 9.0022
_cell_length_b 9.0022
_cell_length_c 9.0022
_cell_angle_alpha 94.87
_cell_angle_beta 94.87
_cell_angle_gamma 146.13
_space_group_name_H-M_alt 'P 1'
_space_group_IT_number 1
_space_group_name_Hall 'P 1'
loop_
_atom_site_label
_atom_site_fract_x
_atom_site_fract_y
_atom_site_fract_z
_atom_site_occupancy
Pr1 0.5000 0.5000 0.0000 1
Pr2 0.5963 0.8746 0.4709 1
Pr3 0.4037 0.1254 0.5291 1
Pr4 0.1254 0.5963 0.7216 1
Pr5 0.8746 0.4037 0.2784 1
Pr6 0.8900 0.8150 0.7050 1
Pr7 0.1100 0.1850 0.2950 1
Pr8 0.1850 0.8900 0.0750 1
Pr9 0.8150 0.1100 0.9250 1
Ga1 0.7333 0.6128 0.3461 1
Ga2 0.2667 0.3872 0.6539 1
Ga3 0.3872 0.7333 0.1204 1
Ga4 0.6128 0.2667 0.8796 1
# E_tot, eV/atom: -4.601
# Symmetry: I4/m, No. 87


Entry 3:
# Pr4GaSbS9 (PBE, relaxed)
data_Pr4GaSbS9
_chemical_formula_sum 'Pr16 Ga4 Sb4 S36'
_cell_length_a 10.2267
_cell_length_b 10.2267
_cell_length_c 13.9276
_cell_angle_alpha 90.00
_cell_angle_beta 90.00
_cell_angle_gamma 90.69
_space_group_name_H-M_alt 'P 1'
_space_group_IT_number 1
_space_group_name_Hall 'P 1'
loop_
_atom_site_label
_atom_site_fract_x
_atom_site_fract_y
_atom_site_fract_z
_atom_site_occupancy
Pr1 0.0900 0.1272 0.1851 1
Pr2 0.8728 0.9100 0.8149 1
Pr3 0.5900 0.6272 0.3149 1
Pr4 0.3728 0.4100 0.6851 1
Pr5 0.3227 0.3335 0.3989 1
Pr6 0.6665 0.6773 0.6011 1
Pr7 0.8227 0.8335 0.1011 1
Pr8 0.1665 0.1773 0.8989 1
Pr9 0.0434 0.6247 0.3206 1
Pr10 0.3753 0.9566 0.6794 1
Pr11 0.5434 0.1247 0.1794 1
Pr12 0.8753 0.4566 0.8206 1
Pr13 0.3232 0.4512 0.1041 1
Pr14 0.5488 0.6768 0.8959 1
Pr15 0.8232 0.9512 0.3959 1
Pr16 0.0488 0.1768 0.6041 1
Ga1 0.8243 0.3834 0.0933 1
Ga2 0.6166 0.1757 0.9067 1
Ga3 0.3243 0.8834 0.4067 1
Ga4 0.1166 0.6757 0.5933 1
Sb1 0.8290 0.3238 0.3862 1
Sb2 0.6762 0.1710 0.6138 1
Sb3 0.3290 0.8238 0.1138 1
Sb4 0.1762 0.6710 0.8862 1
S1 0.0109 0.1662 0.3995 1
S2 0.8338 0.9891 0.6005 1
S3 0.5109 0.6662 0.1005 1
S4 0.3338 0.4891 0.8995 1
S5 0.1461 0.6689 0.0790 1
S6 0.3311 0.8539 0.9210 1
S7 0.6461 0.1689 0.4210 1
S8 0.8311 0.3539 0.5790 1
S9 0.8173 0.2091 0.2009 1
S10 0.7909 0.1827 0.7991 1
S11 0.3173 0.7091 0.2991 1
S12 0.2909 0.6827 0.7009 1
S13 0.8207 0.5691 0.1895 1
S14 0.4309 0.1793 0.8105 1
S15 0.3207 0.0691 0.3105 1
S16 0.9309 0.6793 0.6895 1
S17 0.1335 0.8665 0.5000 1
S18 0.6335 0.3665 0.0000 1
S19 0.1227 0.4917 0.4981 1
S20 0.5083 0.8773 0.5019 1
S21 0.6227 0.9917 0.0019 1
S22 0.0083 0.3773 0.9981 1
S23 0.8150 0.6807 0.4315 1
S24 0.3193 0.1850 0.5685 1
S25 0.3150 0.1807 0.0685 1
S26 0.8193 0.6850 0.9315 1
S27 0.0031 0.8812 0.2505 1
S28 0.1188 0.9969 0.7495 1
S29 0.5031 0.3812 0.2495 1
S30 0.6188 0.4969 0.7505 1
S31 0.4992 0.5008 0.5000 1
S32 0.9992 0.0008 0.0000 1
S33 0.1411 0.3896 0.2483 1
S34 0.6104 0.8589 0.7517 1
S35 0.6411 0.8896 0.2517 1
S36 0.1104 0.3589 0.7483 1
# E_tot, eV/atom: -5.768
# Symmetry: Aea2, No. 41
# Spin magnetization, μB/f.u.: 0.0


Entry 4:
# PrGaSi (PBE, relaxed)
data_PrGaSi
_chemical_formula_sum 'Pr2 Ga2 Si2'
_cell_length_a 7.7880
_cell_length_b 7.7880
_cell_length_c 7.7880
_cell_angle_alpha 148.32
_cell_angle_beta 148.32
_cell_angle_gamma 45.41
_space_group_name_H-M_alt 'P 1'
_space_group_IT_number 1
_space_group_name_Hall 'P 1'
loop_
_atom_site_label
_atom_site_fract_x
_atom_site_fract_y
_atom_site_fract_z
_atom_site_occupancy
Pr1 0.6250 0.1250 0.5000 1
Pr2 0.8750 0.8750 0.0000 1
Ga1 0.4585 0.4585 0.0000 1
Ga2 0.2085 0.7085 0.5000 1
Si1 0.0415 0.5415 0.5000 1
Si2 0.2915 0.2915 0.0000 1
# E_tot, eV/atom: -5.108
# Symmetry: I4_1md, No. 109


Entry 5:
# PrZn2Ga2 (PBE, relaxed)
data_PrZn2Ga2
_chemical_formula_sum 'Pr1 Zn2 Ga2'
_cell_length_a 4.2936
_cell_length_b 4.2936
_cell_length_c 6.1493
_cell_angle_alpha 69.57
_cell_angle_beta 69.57
_cell_angle_gamma 90.00
_space_group_name_H-M_alt 'P 1'
_space_group_IT_number 1
_space_group_name_Hall 'P 1'
loop_
_atom_site_label
_atom_site_fract_x
_atom_site_fract_y
_atom_site_fract_z
_atom_site_occupancy
Pr1 0.0000 0.0000 0.0000 1
Zn1 0.3857 0.3857 0.2285 1
Zn2 0.6143 0.6143 0.7715 1
Ga1 0.7500 0.2500 0.5000 1
Ga2 0.2500 0.7500 0.5000 1
# E_tot, eV/atom: -3.145
# Symmetry: I4/mmm, No. 139


Entry 6:
# Ga3Pt (PBE, relaxed)
data_Ga3Pt
_chemical_formula_sum 'Ga3 Pt1'
_cell_length_a 4.0669
_cell_length_b 4.0669
_cell_length_c 4.0669
_cell_angle_alpha 90.00
_cell_angle_beta 90.00
_cell_angle_gamma 90.00
_space_group_name_H-M_alt 'P 1'
_space_group_IT_number 1
_space_group_name_Hall 'P 1'
loop_
_atom_site_label
_atom_site_fract_x
_atom_site_fract_y
_atom_site_fract_z
_atom_site_occupancy
Ga1 0.0000 0.5000 0.5000 1
Ga2 0.5000 0.0000 0.5000 1
Ga3 0.5000 0.5000 0.0000 1
Pt1 0.0000 0.0000 0.0000 1
# Offset from the most stable computed form, eV per atom: 0.012
# Symmetry: Pm-3m, No. 221
# Spin magnetization, μB/f.u.: 0.0


Calculated theoretical density (g cm⁻³), listed in the same order as above: 6.4 6.6 4.8 6.1 6.9 10.0